1.
Na2CoO3 | PBE+U | optimized geometry

```
Na2CoO3
1.0
0.0000 0.0001 5.1588
-5.4069 9.4238 0.0002
-5.4044 -3.1397 -0.0001
Na Co O
8 4 12
Direct
0.5197 0.2541 0.4204
0.5197 0.7540 0.9204
0.0199 0.0831 0.5916
0.0199 0.5831 0.0916
0.5199 0.9168 0.4085
0.5198 0.4169 0.9084
0.0197 0.2459 0.0796
0.0198 0.7459 0.5796
0.0518 0.9179 0.0819
0.5518 0.0821 0.9181
0.0518 0.4180 0.5819
0.5518 0.5821 0.4180
0.4847 0.2209 0.0531
0.3969 0.9508 0.0491
0.4847 0.7209 0.5531
0.9847 0.7791 0.9469
0.3969 0.4508 0.5491
0.8969 0.5492 0.4509
0.8969 0.0492 0.9509
0.4850 0.5835 0.1421
0.4850 0.0835 0.6421
0.9851 0.4165 0.8579
0.9847 0.2791 0.4469
0.9851 0.9165 0.3579
```

Computed properties:
Formation energy: -1.525 eV per atom
Relative energy among the computed polymorphs: 0.000 eV per atom

***

2.
Na2CoO3 | PBE+U | optimized geometry

```
Na2CoO3
1.0
2.6439 4.5719 -0.0155
-2.6440 4.5720 0.0154
1.6456 -0.0002 10.7681
Na O Co
8 12 4
Direct
0.4087 0.9066 0.7485
0.7509 0.2513 0.7481
0.4999 0.4999 0.5000
0.9066 0.4087 0.2515
0.2513 0.7509 0.2519
0.0905 0.5929 0.7489
0.0001 0.0001 0.0000
0.5929 0.0905 0.2511
0.0876 0.9126 0.5980
0.6618 0.9471 0.8992
0.8474 0.5389 0.5971
0.1534 0.4610 0.4019
0.4610 0.1534 0.5981
0.5389 0.8474 0.4029
0.9471 0.6618 0.1008
0.9126 0.0876 0.4020
0.4193 0.5950 0.8994
0.0175 0.3569 0.9002
0.3569 0.0175 0.0999
0.5950 0.4192 0.1006
0.8294 0.8294 0.5000
0.6685 0.6686 0.0000
0.3321 0.3321 0.0000
0.1706 0.1706 0.5000
```

Computed properties:
Formation energy: -1.465 eV per atom
Relative energy among the computed polymorphs: 0.060 eV per atom
Symmetry: C2 (5)

***

3.
Na2CoO3 | PBE+U | optimized geometry

```
Na2CoO3
1.0
4.1695 -3.2617 1.1394
-3.6539 -1.1565 6.0676
-4.2753 -5.0836 -2.1326
Na Co O
8 4 12
Direct
0.7513 0.2509 0.2504
0.2471 0.0862 0.4044
0.7423 0.5874 0.9035
0.0059 0.9993 0.9980
0.2527 0.7475 0.7516
0.4959 0.4992 0.5015
0.2518 0.4129 0.0975
0.7550 0.9137 0.5929
0.5231 0.8408 0.1748
0.4901 0.1627 0.8335
0.9835 0.6701 0.3278
0.9988 0.3276 0.6689
0.6287 0.5951 0.2041
0.3307 0.4021 0.7898
0.8387 0.2868 0.9017
0.1891 0.0741 0.7184
0.6609 0.2117 0.5931
0.1006 0.6922 0.0967
0.4167 0.1073 0.0949
0.9103 0.6220 0.5834
0.5903 0.8980 0.9082
0.0849 0.3882 0.4127
0.8669 0.9211 0.2902
0.3846 0.8030 0.4020
```

Computed properties:
Formation energy: -1.461 eV per atom
Relative energy among the computed polymorphs: 0.064 eV per atom
Symmetry: P1 (1)

***

4.
Na3Co2O4 | PBE+U | optimized geometry

```
Na3Co2O4
1.0
-4.3400 2.5970 -2.4946
-4.1621 0.2733 7.5256
4.2068 8.9527 2.0014
Na O Co
12 16 8
Direct
0.0391 0.1461 0.1009
0.5391 0.3539 0.1009
0.8626 0.1779 0.7500
0.9609 0.8539 0.6009
0.0391 0.1461 0.3991
0.1374 0.8221 0.2500
0.9609 0.8539 0.8991
0.4609 0.6461 0.8991
0.3626 0.3221 0.7500
0.6374 0.6779 0.2500
0.5391 0.3539 0.3991
0.4609 0.6461 0.6009
0.8745 0.3637 0.2500
0.2964 0.8992 0.0322
0.2717 0.5569 0.2500
0.3745 0.1363 0.2500
0.2283 0.0569 0.7500
0.2964 0.8992 0.4678
0.7036 0.1008 0.5322
0.6255 0.8637 0.7500
0.7964 0.6008 0.4678
0.7964 0.6008 0.0322
0.7717 0.9431 0.2500
0.1255 0.6363 0.7500
0.7036 0.1008 0.9678
0.2036 0.3992 0.5322
0.7283 0.4431 0.7500
0.2036 0.3992 0.9678
0.0443 0.4869 0.1195
0.4557 0.9869 0.6195
0.0443 0.4869 0.3805
0.9557 0.5131 0.8805
0.9557 0.5131 0.6195
0.4557 0.9869 0.8805
0.5443 0.0131 0.1195
0.5443 0.0131 0.3805
```

Computed properties:
Formation energy: -1.417 eV per atom
Relative energy among the computed polymorphs: 0.056 eV per atom
Symmetry: Pnma (62)